Density functional theory data (PBE-GGA) for a relaxed ZrSiO4 crystal.

Cell: 4.7196 5.1839 4.9359 Å, 90.00 98.63 90.00°
Closest atoms and distances in Å follow each position.
Space group P2/c (No. 13)
Unique sites:
Zr (0.0000, 0.2224, 0.2500) [2 per cell]  6 O 2.07-2.25
Si (0.5000, 0.3337, 0.7500) [2 per cell]  6 O 1.73-1.91
O (0.2526, 0.1073, 0.6098) [4 per cell]  1 Si 1.73
O (0.2817, 0.4215, 0.0168) [4 per cell]  2 Si 1.85-1.91

Formation enthalpy at 0 K = -3377 meV/atom
DFT total energy = -102.556 eV/cell
Mass density = 5.10 g cm⁻³